! Mg14AlB PBE optimized geometry; values from VASP
&SYSTEM
  ibrav = 0, nat = 16, ntyp = 3
/
ATOMIC_SPECIES
Mg 24.30 Mg.upf
Al 26.98 Al.upf
B 10.81 B.upf
CELL_PARAMETERS angstrom
6.237 0.000 0.000
-3.119 5.402 0.000
0.000 0.000 10.172
ATOMIC_POSITIONS crystal
Mg 0.000 0.000 0.249
Mg 0.000 0.000 0.751
Mg 0.010 0.505 0.256
Mg 0.010 0.505 0.744
Mg 0.331 0.166 0.500
Mg 0.335 0.167 0.000
Mg 0.495 0.505 0.256
Mg 0.495 0.505 0.744
Mg 0.495 0.990 0.256
Mg 0.495 0.990 0.744
Mg 0.833 0.167 0.000
Mg 0.833 0.665 0.000
Mg 0.834 0.166 0.500
Mg 0.834 0.669 0.500
Al 0.333 0.667 0.000
B 0.333 0.667 0.500
! Space-group type   No. 187
! Calculated formation energy   173 meV per atom
! Density   1.8 g/cm³
! Relative energy among the computed polymorphs   0.0000 eV per atom
! Uncorrected energy   -1.879 eV/atom



! Mo5As4 PBE optimized geometry; values from VASP
&SYSTEM
  ibrav = 0, nat = 9, ntyp = 2
/
ATOMIC_SPECIES
Mo 95.94 Mo.upf
As 74.92 As.upf
CELL_PARAMETERS angstrom
-4.845 4.845 1.650
4.845 -4.845 1.650
4.845 4.845 -1.650
ATOMIC_POSITIONS crystal
Mo 0.000 0.000 0.000
Mo 0.299 0.379 0.678
Mo 0.379 0.701 0.080
Mo 0.621 0.299 0.920
Mo 0.701 0.621 0.322
As 0.057 0.286 0.343
As 0.286 0.943 0.228
As 0.714 0.057 0.772
As 0.943 0.714 0.657
! Space-group type   No. 87
! Calculated formation energy   -285 meV per atom
! Density   8.4 g/cm³
! Relative energy among the computed polymorphs   0.0000 eV per atom
! Uncorrected energy   -8.381 eV/atom



! Na8Ca2In2Si3S3O24 PBE optimized geometry; values from VASP
&SYSTEM
  ibrav = 0, nat = 126, ntyp = 6
/
ATOMIC_SPECIES
Na 22.99 Na.upf
Ca 40.08 Ca.upf
In 114.82 In.upf
Si 28.09 Si.upf
S 32.06 S.upf
O 16.00 O.upf
CELL_PARAMETERS angstrom
9.420 0.000 0.000
4.655 8.216 0.000
0.706 0.504 22.746
ATOMIC_POSITIONS crystal
Na 0.000 0.000 0.000
Na 0.000 0.286 0.417
Na 0.018 0.631 0.160
Na 0.025 0.898 0.666
Na 0.034 0.262 0.928
Na 0.049 0.961 0.347
Na 0.058 0.607 0.831
Na 0.306 0.953 0.849
Na 0.327 0.639 0.751
Na 0.349 0.962 0.491
Na 0.352 0.309 0.312
Na 0.369 0.240 0.023
Na 0.373 0.300 0.669
Na 0.386 0.587 0.243
Na 0.405 0.920 0.152
Na 0.647 0.290 0.171
Na 0.669 0.963 0.086
Na 0.681 0.645 0.649
Na 0.690 0.566 0.330
Na 0.712 0.292 0.855
Na 0.712 0.608 0.019
Na 0.720 0.919 0.578
Na 0.738 0.257 0.484
Na 0.982 0.623 0.510
Ca 0.018 0.287 0.565
Ca 0.023 0.285 0.068
Ca 0.363 0.615 0.401
Ca 0.364 0.618 0.905
Ca 0.688 0.955 0.232
Ca 0.706 0.943 0.735
In 0.011 0.295 0.259
In 0.024 0.288 0.765
In 0.346 0.630 0.593
In 0.381 0.605 0.098
In 0.696 0.962 0.937
In 0.703 0.952 0.434
Si 0.035 0.582 0.664
Si 0.047 0.923 0.498
Si 0.323 0.293 0.165
Si 0.366 0.919 0.995
Si 0.657 0.625 0.498
Si 0.664 0.304 0.997
Si 0.700 0.251 0.330
Si 0.713 0.594 0.165
Si 0.997 0.955 0.826
S 0.039 0.971 0.168
S 0.051 0.624 0.997
S 0.327 0.979 0.668
S 0.370 0.307 0.502
S 0.383 0.252 0.830
S 0.383 0.962 0.336
S 0.700 0.640 0.831
S 0.711 0.296 0.669
S 0.993 0.642 0.334
O 0.008 0.476 0.336
O 0.012 0.127 0.828
O 0.019 0.068 0.114
O 0.020 0.491 0.608
O 0.029 0.105 0.499
O 0.033 0.477 0.002
O 0.054 0.053 0.221
O 0.064 0.466 0.726
O 0.130 0.817 0.560
O 0.135 0.618 0.941
O 0.138 0.638 0.048
O 0.151 0.831 0.440
O 0.159 0.623 0.335
O 0.177 0.793 0.832
O 0.191 0.810 0.166
O 0.208 0.595 0.664
O 0.213 0.309 0.228
O 0.216 0.106 0.000
O 0.216 0.264 0.833
O 0.221 0.114 0.336
O 0.228 0.278 0.507
O 0.229 0.064 0.721
O 0.238 0.267 0.110
O 0.245 0.069 0.614
O 0.319 0.473 0.164
O 0.338 0.842 0.937
O 0.345 0.812 0.669
O 0.351 0.405 0.449
O 0.359 0.818 0.338
O 0.361 0.418 0.832
O 0.384 0.804 0.055
O 0.385 0.387 0.556
O 0.467 0.175 0.774
O 0.468 0.968 0.390
O 0.474 0.149 0.881
O 0.481 0.951 0.283
O 0.492 0.964 0.669
O 0.510 0.142 0.168
O 0.522 0.145 0.500
O 0.529 0.612 0.166
O 0.538 0.433 0.332
O 0.543 0.397 0.054
O 0.546 0.915 0.994
O 0.547 0.647 0.561
O 0.552 0.453 0.666
O 0.558 0.613 0.834
O 0.574 0.594 0.443
O 0.577 0.394 0.936
O 0.656 0.804 0.496
O 0.674 0.160 0.673
O 0.683 0.163 0.274
O 0.688 0.116 0.002
O 0.688 0.729 0.775
O 0.696 0.775 0.166
O 0.712 0.728 0.881
O 0.724 0.139 0.392
O 0.796 0.305 0.722
O 0.797 0.486 0.227
O 0.812 0.272 0.615
O 0.819 0.502 0.108
O 0.845 0.288 0.999
O 0.845 0.475 0.502
O 0.855 0.476 0.831
O 0.863 0.939 0.500
O 0.870 0.983 0.883
O 0.871 0.763 0.666
O 0.875 0.260 0.330
O 0.885 0.773 0.998
O 0.897 0.724 0.389
O 0.897 0.944 0.173
O 0.908 0.736 0.282
O 0.921 0.941 0.765
! Space-group type   No. 1
! Calculated formation energy   -2443 meV per atom
! Density   3.0 g/cm³
! Uncorrected energy   -6.039 eV/atom



! AlVN2 PBE optimized geometry; values from VASP
&SYSTEM
  ibrav = 0, nat = 16, ntyp = 3
/
ATOMIC_SPECIES
Al 26.98 Al.upf
V 50.94 V.upf
N 14.01 N.upf
CELL_PARAMETERS angstrom
5.556 0.000 0.000
0.000 6.470 0.000
0.000 0.000 5.014
ATOMIC_POSITIONS crystal
Al 0.082 0.125 0.000
Al 0.418 0.625 0.500
Al 0.582 0.375 0.000
Al 0.918 0.875 0.500
V 0.080 0.623 0.991
V 0.420 0.123 0.491
V 0.580 0.877 0.991
V 0.920 0.377 0.491
N 0.078 0.118 0.382
N 0.091 0.636 0.392
N 0.409 0.136 0.892
N 0.422 0.618 0.882
N 0.578 0.382 0.382
N 0.591 0.864 0.392
N 0.909 0.364 0.892
N 0.922 0.882 0.882
! Space-group type   No. 33
! Calculated formation energy   -1091 meV per atom
! Density   3.9 g/cm³
! Uncorrected energy   -8.286 eV/atom



! Er9MnS14 PBE optimized geometry; values from VASP
&SYSTEM
  ibrav = 0, nat = 24, ntyp = 3
/
ATOMIC_SPECIES
Er 167.26 Er.upf
Mn 54.94 Mn.upf
S 32.06 S.upf
CELL_PARAMETERS angstrom
6.274 -1.880 0.000
6.274 1.880 0.000
-5.766 0.000 22.147
ATOMIC_POSITIONS crystal
Er 0.000 0.000 0.000
Er 0.000 0.000 0.495
Er 0.112 0.112 0.709
Er 0.114 0.114 0.216
Er 0.302 0.302 0.592
Er 0.304 0.304 0.099
Er 0.695 0.695 0.397
Er 0.699 0.699 0.905
Er 0.888 0.888 0.788
Mn 0.887 0.887 0.288
S 0.037 0.037 0.387
S 0.041 0.041 0.891
S 0.259 0.259 0.822
S 0.267 0.267 0.322
S 0.339 0.339 0.473
S 0.341 0.341 0.973
S 0.494 0.494 0.250
S 0.500 0.500 0.749
S 0.659 0.659 0.524
S 0.661 0.661 0.025
S 0.741 0.741 0.675
S 0.742 0.742 0.178
S 0.961 0.961 0.108
S 0.961 0.961 0.606
! Space-group type   No. 8
! Calculated formation energy   -2220 meV per atom
! Density   6.4 g/cm³
! Uncorrected energy   -6.434 eV/atom



! BaRh3Pb6 PBE optimized geometry; values from VASP
&SYSTEM
  ibrav = 0, nat = 20, ntyp = 3
/
ATOMIC_SPECIES
Ba 137.33 Ba.upf
Rh 102.91 Rh.upf
Pb 207.20 Pb.upf
CELL_PARAMETERS angstrom
4.206 -13.769 0.000
4.206 13.769 0.000
0.000 0.000 4.602
ATOMIC_POSITIONS crystal
Ba 0.089 0.911 0.750
Ba 0.911 0.089 0.250
Rh 0.094 0.529 0.250
Rh 0.463 0.537 0.250
Rh 0.471 0.906 0.250
Rh 0.529 0.094 0.750
Rh 0.537 0.463 0.750
Rh 0.906 0.471 0.750
Pb 0.026 0.370 0.750
Pb 0.250 0.750 0.750
Pb 0.253 0.345 0.750
Pb 0.345 0.253 0.250
Pb 0.365 0.635 0.250
Pb 0.370 0.026 0.250
Pb 0.630 0.974 0.750
Pb 0.635 0.365 0.750
Pb 0.655 0.747 0.750
Pb 0.747 0.655 0.250
Pb 0.750 0.250 0.250
Pb 0.974 0.630 0.250
! Space-group type   No. 63
! Calculated formation energy   -243 meV per atom
! Density   10.5 g/cm³
! Uncorrected energy   -4.871 eV/atom



! Mg3Si2 PBE optimized geometry; values from VASP
&SYSTEM
  ibrav = 0, nat = 20, ntyp = 2
/
ATOMIC_SPECIES
Mg 24.30 Mg.upf
Si 28.09 Si.upf
CELL_PARAMETERS angstrom
5.354 0.000 0.000
-0.214 5.533 0.000
-1.744 -2.728 12.952
ATOMIC_POSITIONS crystal
Mg 0.027 0.163 0.112
Mg 0.152 0.762 0.491
Mg 0.205 0.099 0.730
Mg 0.268 0.646 0.250
Mg 0.334 0.207 0.359
Mg 0.444 0.764 0.045
Mg 0.556 0.236 0.955
Mg 0.666 0.793 0.641
Mg 0.732 0.354 0.750
Mg 0.795 0.901 0.270
Mg 0.848 0.238 0.509
Mg 0.973 0.837 0.888
Si 0.059 0.348 0.930
Si 0.151 0.578 0.676
Si 0.376 0.258 0.570
Si 0.459 0.758 0.829
Si 0.541 0.242 0.171
Si 0.624 0.742 0.430
Si 0.849 0.422 0.324
Si 0.941 0.652 0.070
! Space-group type   No. 2
! Calculated formation energy   47 meV per atom
! Density   2.2 g/cm³
! Uncorrected energy   -3.111 eV/atom



! Nb2Tl5S4Br9 PBE optimized geometry; values from VASP
&SYSTEM
  ibrav = 0, nat = 20, ntyp = 4
/
ATOMIC_SPECIES
Nb 92.91 Nb.upf
Tl 204.38 Tl.upf
S 32.06 S.upf
Br 79.90 Br.upf
CELL_PARAMETERS angstrom
-3.725 5.196 8.134
3.725 -5.196 8.134
3.725 5.196 -8.134
ATOMIC_POSITIONS crystal
Nb 0.090 0.090 0.000
Nb 0.910 0.910 0.000
Tl 0.117 0.334 0.782
Tl 0.448 0.666 0.782
Tl 0.500 0.000 0.500
Tl 0.552 0.334 0.218
Tl 0.883 0.666 0.218
S 0.097 0.239 0.336
S 0.097 0.761 0.858
S 0.903 0.239 0.142
S 0.903 0.761 0.664
Br 0.127 0.866 0.261
Br 0.212 0.458 0.245
Br 0.212 0.967 0.755
Br 0.395 0.134 0.261
Br 0.500 0.500 0.000
Br 0.605 0.866 0.739
Br 0.788 0.033 0.245
Br 0.788 0.542 0.755
Br 0.873 0.134 0.739
! Space-group type   No. 71
! Calculated formation energy   -1195 meV per atom
! Density   5.4 g/cm³
! Uncorrected energy   -4.019 eV/atom



! Hg3TeO6 PBE optimized geometry; values from VASP
&SYSTEM
  ibrav = 0, nat = 80, ntyp = 3
/
ATOMIC_SPECIES
Hg 200.59 Hg.upf
Te 127.60 Te.upf
O 16.00 O.upf
CELL_PARAMETERS angstrom
-6.876 6.876 6.876
6.876 -6.876 6.876
6.876 6.876 -6.876
ATOMIC_POSITIONS crystal
Hg 0.094 0.187 0.844
Hg 0.094 0.406 0.250
Hg 0.156 0.750 0.344
Hg 0.156 0.906 0.813
Hg 0.187 0.844 0.094
Hg 0.250 0.094 0.406
Hg 0.250 0.656 0.844
Hg 0.313 0.406 0.656
Hg 0.344 0.156 0.750
Hg 0.344 0.687 0.594
Hg 0.406 0.250 0.094
Hg 0.406 0.656 0.313
Hg 0.594 0.344 0.687
Hg 0.594 0.750 0.906
Hg 0.656 0.313 0.406
Hg 0.656 0.844 0.250
Hg 0.687 0.594 0.344
Hg 0.750 0.344 0.156
Hg 0.750 0.906 0.594
Hg 0.813 0.156 0.906
Hg 0.844 0.094 0.187
Hg 0.844 0.250 0.656
Hg 0.906 0.594 0.750
Hg 0.906 0.813 0.156
Te 0.000 0.000 0.000
Te 0.000 0.000 0.500
Te 0.000 0.500 0.000
Te 0.000 0.500 0.500
Te 0.500 0.000 0.000
Te 0.500 0.000 0.500
Te 0.500 0.500 0.000
Te 0.500 0.500 0.500
O 0.005 0.151 0.142
O 0.005 0.354 0.863
O 0.009 0.651 0.646
O 0.009 0.858 0.363
O 0.137 0.642 0.491
O 0.137 0.995 0.646
O 0.142 0.005 0.151
O 0.142 0.637 0.991
O 0.146 0.151 0.509
O 0.146 0.495 0.637
O 0.151 0.142 0.005
O 0.151 0.509 0.146
O 0.349 0.354 0.991
O 0.349 0.495 0.358
O 0.354 0.863 0.005
O 0.354 0.991 0.349
O 0.358 0.349 0.495
O 0.358 0.509 0.863
O 0.363 0.009 0.858
O 0.363 0.854 0.505
O 0.491 0.137 0.642
O 0.491 0.854 0.849
O 0.495 0.358 0.349
O 0.495 0.637 0.146
O 0.505 0.363 0.854
O 0.505 0.642 0.651
O 0.509 0.146 0.151
O 0.509 0.863 0.358
O 0.637 0.146 0.495
O 0.637 0.991 0.142
O 0.642 0.491 0.137
O 0.642 0.651 0.505
O 0.646 0.009 0.651
O 0.646 0.137 0.995
O 0.651 0.505 0.642
O 0.651 0.646 0.009
O 0.849 0.491 0.854
O 0.849 0.858 0.995
O 0.854 0.505 0.363
O 0.854 0.849 0.491
O 0.858 0.363 0.009
O 0.858 0.995 0.849
O 0.863 0.005 0.354
O 0.863 0.358 0.509
O 0.991 0.142 0.637
O 0.991 0.349 0.354
O 0.995 0.646 0.137
O 0.995 0.849 0.858
! Space-group type   No. 230
! Calculated formation energy   -960 meV per atom
! Density   8.4 g/cm³
! Relative energy among the computed polymorphs   0.0635 eV per atom
! Uncorrected energy   -3.922 eV/atom



! HfCrAgS4 PBE optimized geometry; values from VASP
&SYSTEM
  ibrav = 0, nat = 7, ntyp = 4
/
ATOMIC_SPECIES
Hf 178.49 Hf.upf
Cr 52.00 Cr.upf
Ag 107.87 Ag.upf
S 32.06 S.upf
CELL_PARAMETERS angstrom
6.110 0.000 0.000
0.000 3.599 0.000
-0.175 0.000 6.553
ATOMIC_POSITIONS crystal
Hf 0.000 0.000 0.000
Cr 0.500 0.500 0.000
Ag 0.500 0.500 0.500
S 0.180 0.500 0.218
S 0.341 0.000 0.789
S 0.659 0.000 0.211
S 0.820 0.500 0.782
! Space-group type   No. 10
! Calculated formation energy   -1216 meV per atom
! Density   5.4 g/cm³
! Relative energy among the computed polymorphs   0.0164 eV per atom
! Uncorrected energy   -6.498 eV/atom